# RbHfAgTe3 | the Materials Project database | PBE-GGA | optimized geometry
# Volume = 33.53 A^3/atom
# ΔH_f (0 K) = -0.9820 eV/atom
# Final energy = -4.638 eV per atom
data_RbHfAgTe3
_chemical_formula_sum 'Rb2 Hf2 Ag2 Te6'
_space_group_name_H-M_alt 'P 1'
_space_group_IT_number 1
_cell_length_a 4.246
_cell_length_b 9.274
_cell_length_c 11.072
_cell_angle_alpha 67.35
_cell_angle_beta 90.00
_cell_angle_gamma 90.00
loop_
_space_group_symop_operation_xyz
'x,y,z'
loop_
_atom_site_label
_atom_site_type_symbol
_atom_site_fract_x
_atom_site_fract_y
_atom_site_fract_z
Hf1 Hf 0.250 0.694 0.832
Hf2 Hf 0.750 0.306 0.168
Te1 Te 0.750 0.894 0.862
Te2 Te 0.750 0.456 0.875
Te3 Te 0.750 0.261 0.436
Te4 Te 0.250 0.739 0.564
Te5 Te 0.250 0.544 0.125
Te6 Te 0.250 0.106 0.138
Rb1 Rb 0.250 0.252 0.718
Rb2 Rb 0.750 0.748 0.282
Ag1 Ag 0.250 0.075 0.399
Ag2 Ag 0.750 0.925 0.601